{"formula": "NaIO2", "functional": "GGA-PBE", "state": "relaxed", "cell": [[-3.2144, 3.2144, 6.2187], [3.2144, -3.2144, 6.2187], [3.2144, 3.2144, -6.2187]], "species": ["Na", "Na", "Na", "Na", "I", "I", "I", "I", "O", "O", "O", "O", "O", "O", "O", "O"], "fractional_positions": [[0.0000, 0.0000, 0.0000], [0.0000, 0.0000, 0.5000], [0.0000, 0.5000, 0.0000], [0.5000, 0.0000, 0.5000], [0.0000, 0.5000, 0.5000], [0.5000, 0.0000, 0.0000], [0.5000, 0.5000, 0.0000], [0.5000, 0.5000, 0.5000], [0.2066, 0.2352, 0.5286], [0.2066, 0.6780, 0.9714], [0.2352, 0.2066, 0.0286], [0.3220, 0.7934, 0.5286], [0.6780, 0.2066, 0.4714], [0.7648, 0.7934, 0.9714], [0.7934, 0.3220, 0.0286], [0.7934, 0.7648, 0.4714]], "relative_energy_mev_per_atom": 0.0, "corrected_energy_ev_per_atom": -4.19, "space_group": "No. 141", "formation_enthalpy_0k_ev_per_atom": -1.008}



{"formula": "Rb2NdCuF6", "functional": "GGA-PBE", "state": "relaxed", "cell": [[0.0000, 4.5561, 4.5561], [4.5561, 0.0000, 4.5561], [4.5561, 4.5561, 0.0000]], "species": ["Rb", "Rb", "Nd", "Cu", "F", "F", "F", "F", "F", "F"], "fractional_positions": [[0.2500, 0.2500, 0.2500], [0.7500, 0.7500, 0.7500], [0.0000, 0.0000, 0.0000], [0.5000, 0.5000, 0.5000], [0.2498, 0.2498, 0.7502], [0.2498, 0.7502, 0.2498], [0.2498, 0.7502, 0.7502], [0.7502, 0.2498, 0.2498], [0.7502, 0.2498, 0.7502], [0.7502, 0.7502, 0.2498]], "corrected_energy_ev_per_atom": -5.32, "space_group": "No. 225", "formation_enthalpy_0k_ev_per_atom": -3.089}



{"formula": "Na10Mg4Sc4Si3S9O48", "functional": "GGA-PBE", "state": "relaxed", "cell": [[8.9611, 0.0000, 0.0000], [-0.0638, 15.5622, 0.0000], [-0.0081, -0.2809, 22.6776]], "species": ["Na", "Na", "Na", "Na", "Na", "Na", "Na", "Na", "Na", "Na", "Na", "Na", "Na", "Na", "Na", "Na", "Na", "Na", "Na", "Na", "Na", "Na", "Na", "Na", "Na", "Na", "Na", "Na", "Na", "Na", "Mg", "Mg", "Mg", "Mg", "Mg", "Mg", "Mg", "Mg", "Mg", "Mg", "Mg", "Mg", "Sc", "Sc", "Sc", "Sc", "Sc", "Sc", "Sc", "Sc", "Sc", "Sc", "Sc", "Sc", "Si", "Si", "Si", "Si", "Si", "Si", "Si", "Si", "Si", "S", "S", "S", "S", "S", "S", "S", "S", "S", "S", "S", "S", "S", "S", "S", "S", "S", "S", "S", "S", "S", "S", "S", "S", "S", "S", "S", "O", "O", "O", "O", "O", "O", "O", "O", "O", "O", "O", "O", "O", "O", "O", "O", "O", "O", "O", "O", "O", "O", "O", "O", "O", "O", "O", "O", "O", "O", "O", "O", "O", "O", "O", "O", "O", "O", "O", "O", "O", "O", "O", "O", "O", "O", "O", "O", "O", "O", "O", "O", "O", "O", "O", "O", "O", "O", "O", "O", "O", "O", "O", "O", "O", "O", "O", "O", "O", "O", "O", "O", "O", "O", "O", "O", "O", "O", "O", "O", "O", "O", "O", "O", "O", "O", "O", "O", "O", "O", "O", "O", "O", "O", "O", "O", "O", "O", "O", "O", "O", "O", "O", "O", "O", "O", "O", "O", "O", "O", "O", "O", "O", "O", "O", "O", "O", "O", "O", "O", "O", "O", "O", "O", "O", "O", "O", "O", "O", "O", "O", "O", "O", "O", "O", "O", "O", "O", "O", "O", "O", "O", "O", "O"], "fractional_positions": [[0.0000, 0.0000, 0.0000], [0.0000, 0.3333, 0.6651], [0.0282, 0.0067, 0.6552], [0.1479, 0.5233, 0.9143], [0.1536, 0.8530, 0.5803], [0.1587, 0.1927, 0.2473], [0.1693, 0.5198, 0.4120], [0.1725, 0.8464, 0.0845], [0.1900, 0.1862, 0.7481], [0.3132, 0.0052, 0.1577], [0.3132, 0.6719, 0.4868], [0.3526, 0.3705, 0.5022], [0.3550, 0.7036, 0.1722], [0.4859, 0.5380, 0.3362], [0.4894, 0.8710, 0.0039], [0.4995, 0.8333, 0.6652], [0.5027, 0.5029, 0.9993], [0.5247, 0.8383, 0.3226], [0.5257, 0.1715, 0.9936], [0.5276, 0.5070, 0.6557], [0.6544, 0.3515, 0.5822], [0.6552, 0.0138, 0.9116], [0.6709, 0.6900, 0.2492], [0.6828, 0.0190, 0.4146], [0.6862, 0.3467, 0.0880], [0.6904, 0.6865, 0.7487], [0.8177, 0.5051, 0.1573], [0.8202, 0.1699, 0.4914], [0.8565, 0.8713, 0.5021], [0.9884, 0.3715, 0.0052], [0.1492, 0.5130, 0.0637], [0.1555, 0.8415, 0.7294], [0.1622, 0.1735, 0.3947], [0.1795, 0.8434, 0.2308], [0.1823, 0.1747, 0.8936], [0.1822, 0.5103, 0.5625], [0.6555, 0.3415, 0.7295], [0.6579, 0.0108, 0.0654], [0.6637, 0.6754, 0.3947], [0.6831, 0.0099, 0.5626], [0.6835, 0.3391, 0.2280], [0.6834, 0.6753, 0.8940], [0.1676, 0.5076, 0.2648], [0.1688, 0.1808, 0.0998], [0.1732, 0.8470, 0.9289], [0.1733, 0.8486, 0.4276], [0.1739, 0.5060, 0.7637], [0.1801, 0.1756, 0.5955], [0.6718, 0.3527, 0.4307], [0.6731, 0.0088, 0.2613], [0.6740, 0.0055, 0.7636], [0.6757, 0.3533, 0.9277], [0.6766, 0.6802, 0.0963], [0.6797, 0.6759, 0.5962], [0.0202, 0.3630, 0.1609], [0.0224, 0.0314, 0.4954], [0.3207, 0.6968, 0.3284], [0.3216, 0.0333, 0.9955], [0.3229, 0.3624, 0.6601], [0.5199, 0.8626, 0.1608], [0.5212, 0.5319, 0.4951], [0.8233, 0.8622, 0.6603], [0.8244, 0.5347, 0.9944], [0.0228, 0.6990, 0.8284], [0.0258, 0.3260, 0.4951], [0.0258, 0.9953, 0.8288], [0.0269, 0.6606, 0.1627], [0.3144, 0.6610, 0.6623], [0.3180, 0.3258, 0.9941], [0.3176, 0.9973, 0.3273], [0.3785, 0.6784, 0.9947], [0.3798, 0.3415, 0.3285], [0.3824, 0.0125, 0.6628], [0.4633, 0.5108, 0.1611], [0.4654, 0.1775, 0.4933], [0.4664, 0.8435, 0.8283], [0.5231, 0.1988, 0.8298], [0.5250, 0.4962, 0.8280], [0.5253, 0.8274, 0.4958], [0.5287, 0.1609, 0.1619], [0.8144, 0.1611, 0.6625], [0.8167, 0.4929, 0.3277], [0.8187, 0.8263, 0.9939], [0.8206, 0.1994, 0.3296], [0.8779, 0.8462, 0.3287], [0.8792, 0.1788, 0.9939], [0.8822, 0.5123, 0.6627], [0.9644, 0.0111, 0.1610], [0.9641, 0.6775, 0.4941], [0.9676, 0.3435, 0.8279], [0.0028, 0.5171, 0.9976], [0.0034, 0.8593, 0.6689], [0.0452, 0.4194, 0.1016], [0.0493, 0.2738, 0.5499], [0.0511, 0.0972, 0.4429], [0.0527, 0.6065, 0.2152], [0.0537, 0.9427, 0.8830], [0.0583, 0.7504, 0.7762], [0.0594, 0.4242, 0.8256], [0.0585, 0.9340, 0.1678], [0.0606, 0.6017, 0.5020], [0.0633, 0.2672, 0.8344], [0.0626, 0.7566, 0.4912], [0.0657, 0.0884, 0.1594], [0.0856, 0.4139, 0.5027], [0.0869, 0.7411, 0.8824], [0.0882, 0.7481, 0.1696], [0.0888, 0.9522, 0.7762], [0.0899, 0.0737, 0.5582], [0.0914, 0.9325, 0.4904], [0.0918, 0.0819, 0.8348], [0.0921, 0.6120, 0.8237], [0.0947, 0.4133, 0.2182], [0.0980, 0.2668, 0.1568], [0.0983, 0.6219, 0.1099], [0.0991, 0.2859, 0.4440], [0.2342, 0.2686, 0.6575], [0.2385, 0.4120, 0.7169], [0.2401, 0.0714, 0.0560], [0.2438, 0.2872, 0.9420], [0.2442, 0.9346, 0.9878], [0.2500, 0.6238, 0.6080], [0.2527, 0.5978, 0.3246], [0.2536, 0.7435, 0.3893], [0.2554, 0.9574, 0.2732], [0.2555, 0.0836, 0.3352], [0.2596, 0.7499, 0.6707], [0.2636, 0.4148, 0.0018], [0.2786, 0.0875, 0.6595], [0.2810, 0.7562, 0.9890], [0.2822, 0.2664, 0.3354], [0.2848, 0.6055, 0.7140], [0.2892, 0.5992, 0.0025], [0.2900, 0.0967, 0.9418], [0.2903, 0.4230, 0.3251], [0.2900, 0.9327, 0.6692], [0.2908, 0.9409, 0.3792], [0.2917, 0.7561, 0.2714], [0.2935, 0.2719, 0.0469], [0.2936, 0.4201, 0.6021], [0.3366, 0.8557, 0.1659], [0.3377, 0.5224, 0.4988], [0.3583, 0.1922, 0.8332], [0.3586, 0.5033, 0.8238], [0.3594, 0.8315, 0.4908], [0.3612, 0.1631, 0.1575], [0.3692, 0.5265, 0.2143], [0.3709, 0.8545, 0.8824], [0.3724, 0.1687, 0.4411], [0.3734, 0.1969, 0.5471], [0.3729, 0.5033, 0.1068], [0.3726, 0.8350, 0.7749], [0.4697, 0.6965, 0.0492], [0.4731, 0.3557, 0.3837], [0.4753, 0.0023, 0.6099], [0.4746, 0.0267, 0.7166], [0.4747, 0.6676, 0.9426], [0.4775, 0.3328, 0.2768], [0.4828, 0.6666, 0.6580], [0.4865, 0.0021, 0.3235], [0.4856, 0.3302, 0.9871], [0.5031, 0.3593, 0.6688], [0.5041, 0.0219, 0.9995], [0.5054, 0.6900, 0.3323], [0.5496, 0.9205, 0.1033], [0.5521, 0.4436, 0.8824], [0.5533, 0.5896, 0.4382], [0.5531, 0.7734, 0.5493], [0.5595, 0.1042, 0.2129], [0.5587, 0.9245, 0.8262], [0.5601, 0.4351, 0.1679], [0.5610, 0.1015, 0.5019], [0.5612, 0.2520, 0.7788], [0.5620, 0.5903, 0.1582], [0.5625, 0.7676, 0.8347], [0.5679, 0.2554, 0.4890], [0.5842, 0.2388, 0.8854], [0.5882, 0.2479, 0.1704], [0.5889, 0.4522, 0.7759], [0.5887, 0.9145, 0.5031], [0.5911, 0.4320, 0.4906], [0.5913, 0.5740, 0.5567], [0.5908, 0.5826, 0.8338], [0.5908, 0.7644, 0.1574], [0.5907, 0.9100, 0.2210], [0.5921, 0.1119, 0.8244], [0.5923, 0.1240, 0.1067], [0.5956, 0.7879, 0.4432], [0.7344, 0.7685, 0.6576], [0.7383, 0.9115, 0.7172], [0.7421, 0.4344, 0.9890], [0.7425, 0.5717, 0.0558], [0.7456, 0.7870, 0.9421], [0.7480, 0.4524, 0.2750], [0.7499, 0.1241, 0.6080], [0.7499, 0.5791, 0.3349], [0.7506, 0.1120, 0.3239], [0.7585, 0.2387, 0.3855], [0.7590, 0.2500, 0.6709], [0.7589, 0.9155, 0.0009], [0.7759, 0.2544, 0.9883], [0.7766, 0.5906, 0.9395], [0.7768, 0.9243, 0.3253], [0.7779, 0.5871, 0.6594], [0.7795, 0.7699, 0.3346], [0.7826, 0.2523, 0.2787], [0.7842, 0.1056, 0.7141], [0.7853, 0.4392, 0.3808], [0.7870, 0.1000, 0.0018], [0.7898, 0.4324, 0.6691], [0.7914, 0.7753, 0.0476], [0.7933, 0.9200, 0.6025], [0.8377, 0.0223, 0.4992], [0.8382, 0.3589, 0.1686], [0.8590, 0.0030, 0.8245], [0.8590, 0.3284, 0.4883], [0.8585, 0.6922, 0.8332], [0.8603, 0.6642, 0.1561], [0.8665, 0.0246, 0.2132], [0.8710, 0.6687, 0.4416], [0.8706, 0.6940, 0.5479], [0.8731, 0.3346, 0.7748], [0.8725, 0.3543, 0.8822], [0.8757, 0.0036, 0.1060], [0.9667, 0.8595, 0.3840], [0.9714, 0.1974, 0.0471], [0.9729, 0.1672, 0.9411], [0.9725, 0.8384, 0.2767], [0.9741, 0.5267, 0.7165], [0.9751, 0.5021, 0.6098], [0.9814, 0.5004, 0.3243], [0.9826, 0.1670, 0.6583], [0.9850, 0.1927, 0.3335], [0.9846, 0.8353, 0.9877]], "corrected_energy_ev_per_atom": -6.87, "space_group": "No. 1", "formation_enthalpy_0k_ev_per_atom": -2.558}



{"formula": "Cs2NaBiI6", "functional": "GGA-PBE", "state": "relaxed", "cell": [[0.0000, 6.2574, 6.2574], [6.2574, 0.0000, 6.2574], [6.2574, 6.2574, 0.0000]], "species": ["Cs", "Cs", "Na", "Bi", "I", "I", "I", "I", "I", "I"], "fractional_positions": [[0.2500, 0.2500, 0.2500], [0.7500, 0.7500, 0.7500], [0.0000, 0.0000, 0.0000], [0.5000, 0.5000, 0.5000], [0.2533, 0.2533, 0.7467], [0.2533, 0.7467, 0.2533], [0.2533, 0.7467, 0.7467], [0.7467, 0.2533, 0.2533], [0.7467, 0.2533, 0.7467], [0.7467, 0.7467, 0.2533]], "corrected_energy_ev_per_atom": -2.90, "space_group": "No. 225", "formation_enthalpy_0k_ev_per_atom": -1.290}



{"formula": "Cs2KFeC6N6", "functional": "GGA-PBE", "state": "relaxed", "cell": [[7.7545, 0.0000, 0.0000], [0.0000, 8.2196, 0.0000], [-7.7046, 0.0000, 11.2636]], "species": ["Cs", "Cs", "Cs", "Cs", "K", "K", "Fe", "Fe", "C", "C", "C", "C", "C", "C", "C", "C", "C", "C", "C", "C", "N", "N", "N", "N", "N", "N", "N", "N", "N", "N", "N", "N"], "fractional_positions": [[0.2292, 0.0674, 0.2493], [0.2292, 0.4326, 0.7493], [0.7708, 0.5674, 0.2507], [0.7708, 0.9326, 0.7507], [0.0000, 0.0000, 0.5000], [0.0000, 0.5000, 0.0000], [0.5000, 0.0000, 0.0000], [0.5000, 0.5000, 0.5000], [0.2657, 0.1244, 0.9688], [0.2657, 0.3756, 0.4688], [0.3390, 0.6954, 0.4602], [0.3390, 0.8046, 0.9602], [0.4082, 0.0229, 0.8381], [0.4082, 0.4771, 0.3381], [0.5918, 0.5229, 0.6619], [0.5918, 0.9771, 0.1619], [0.6610, 0.1954, 0.0398], [0.6610, 0.3046, 0.5398], [0.7343, 0.6244, 0.5312], [0.7343, 0.8756, 0.0312], [0.1195, 0.2001, 0.9478], [0.1195, 0.2999, 0.4478], [0.2387, 0.6848, 0.9351], [0.2387, 0.8152, 0.4351], [0.3525, 0.0397, 0.7385], [0.3525, 0.4603, 0.2385], [0.6475, 0.5397, 0.7615], [0.6475, 0.9603, 0.2615], [0.7613, 0.1848, 0.5649], [0.7613, 0.3152, 0.0649], [0.8805, 0.7001, 0.5522], [0.8805, 0.7999, 0.0522]], "corrected_energy_ev_per_atom": -7.57, "space_group": "No. 14", "formation_enthalpy_0k_ev_per_atom": -0.271}



{"formula": "ZrNb2Mo2", "functional": "GGA-PBE", "state": "relaxed", "cell": [[0.0000, 2.3559, 11.7152], [1.6280, 0.0000, 11.7152], [1.6280, 2.3559, 0.0000]], "species": ["Zr", "Nb", "Nb", "Mo", "Mo"], "fractional_positions": [[0.0000, 0.0000, 0.0000], [0.3885, 0.3885, 0.6115], [0.7878, 0.7878, 0.2122], [0.1920, 0.1920, 0.8080], [0.6027, 0.6027, 0.3973]], "space_group": "No. 42", "formation_enthalpy_0k_ev_per_atom": 0.031}



{"formula": "Li3Bi2P3O12", "functional": "GGA-PBE", "state": "relaxed", "cell": [[8.8301, -4.0562, 0.0000], [8.8301, 4.0562, 0.0000], [-8.4049, 0.0000, 15.2215]], "species": ["Li", "Li", "Li", "Li", "Li", "Li", "Li", "Li", "Li", "Li", "Li", "Li", "Bi", "Bi", "Bi", "Bi", "Bi", "Bi", "Bi", "Bi", "P", "P", "P", "P", "P", "P", "P", "P", "P", "P", "P", "P", "O", "O", "O", "O", "O", "O", "O", "O", "O", "O", "O", "O", "O", "O", "O", "O", "O", "O", "O", "O", "O", "O", "O", "O", "O", "O", "O", "O", "O", "O", "O", "O", "O", "O", "O", "O", "O", "O", "O", "O", "O", "O", "O", "O", "O", "O", "O", "O"], "fractional_positions": [[0.0000, 0.5000, 0.0000], [0.0035, 0.2679, 0.6455], [0.0346, 0.9654, 0.7500], [0.2679, 0.0035, 0.1455], [0.2749, 0.3674, 0.4491], [0.3674, 0.2749, 0.9491], [0.5000, 0.0000, 0.5000], [0.6326, 0.7251, 0.0509], [0.7251, 0.6326, 0.5509], [0.7321, 0.9965, 0.8545], [0.9654, 0.0346, 0.2500], [0.9965, 0.7321, 0.3545], [0.2188, 0.7020, 0.9700], [0.2491, 0.4326, 0.6647], [0.2980, 0.7812, 0.5300], [0.4326, 0.2491, 0.1647], [0.5674, 0.7509, 0.8353], [0.7020, 0.2188, 0.4700], [0.7509, 0.5674, 0.3353], [0.7812, 0.2980, 0.0300], [0.0076, 0.5684, 0.8112], [0.1135, 0.1707, 0.4610], [0.1707, 0.1135, 0.9610], [0.4316, 0.9924, 0.6888], [0.4368, 0.5591, 0.1369], [0.4409, 0.5632, 0.3631], [0.5591, 0.4368, 0.6369], [0.5632, 0.4409, 0.8631], [0.5684, 0.0076, 0.3112], [0.8293, 0.8865, 0.0390], [0.8865, 0.8293, 0.5390], [0.9924, 0.4316, 0.1888], [0.0089, 0.1788, 0.3644], [0.0192, 0.7500, 0.4809], [0.0314, 0.2366, 0.1638], [0.0313, 0.7156, 0.0266], [0.0321, 0.4694, 0.7153], [0.1466, 0.4234, 0.1769], [0.1788, 0.0089, 0.8644], [0.1913, 0.4554, 0.8770], [0.2062, 0.2807, 0.4979], [0.2366, 0.0314, 0.6638], [0.2407, 0.6622, 0.3686], [0.2500, 0.9808, 0.0191], [0.2807, 0.2062, 0.9979], [0.2844, 0.9687, 0.4734], [0.3245, 0.5359, 0.1648], [0.3378, 0.7593, 0.1314], [0.3576, 0.5301, 0.8098], [0.4234, 0.1466, 0.6769], [0.4399, 0.4521, 0.5381], [0.4521, 0.4399, 0.0381], [0.4554, 0.1913, 0.3770], [0.4641, 0.6755, 0.3352], [0.4694, 0.0321, 0.2153], [0.4699, 0.6424, 0.6902], [0.5301, 0.3576, 0.3098], [0.5306, 0.9679, 0.7847], [0.5359, 0.3245, 0.6648], [0.5446, 0.8087, 0.6230], [0.5479, 0.5601, 0.9619], [0.5601, 0.5479, 0.4619], [0.5766, 0.8534, 0.3231], [0.6424, 0.4699, 0.1902], [0.6622, 0.2407, 0.8686], [0.6755, 0.4641, 0.8352], [0.7156, 0.0313, 0.5266], [0.7193, 0.7938, 0.0021], [0.7500, 0.0192, 0.9809], [0.7593, 0.3378, 0.6314], [0.7634, 0.9686, 0.3362], [0.7938, 0.7193, 0.5021], [0.8087, 0.5446, 0.1230], [0.8212, 0.9911, 0.1356], [0.8534, 0.5766, 0.8231], [0.9679, 0.5306, 0.2847], [0.9687, 0.2844, 0.9734], [0.9686, 0.7634, 0.8362], [0.9808, 0.2500, 0.5191], [0.9911, 0.8212, 0.6356]], "relative_energy_mev_per_atom": 52.6, "corrected_energy_ev_per_atom": -6.92, "space_group": "No. 15", "formation_enthalpy_0k_ev_per_atom": -2.460}



{"formula": "CaCr2N2", "functional": "GGA-PBE", "state": "relaxed", "cell": [[3.2049, 0.0000, 0.0000], [0.0000, 3.2049, 0.0000], [0.0000, 0.0000, 7.2629]], "species": ["Ca", "Cr", "Cr", "N", "N"], "fractional_positions": [[0.0000, 0.0000, 0.0000], [0.5000, 0.5000, 0.3454], [0.5000, 0.5000, 0.6546], [0.0000, 0.5000, 0.7703], [0.5000, 0.0000, 0.2297]], "corrected_energy_ev_per_atom": -7.85, "space_group": "No. 115", "formation_enthalpy_0k_ev_per_atom": -0.251}